1.
This record from Materials Project describes a relaxed structure of Y2B6Rh9. The functional is r2SCAN.

## Properties
- SG: P6/mmm, No. 191
- Formation energy from the elements: -0.700 eV per atom
- Calculated volume: 229.2 Å³ per cell
- Magnetic moment: 0.00 Bohr magnetons per cell

Geometry as POSCAR:
```
Y2B6Rh9
1.0
5.574 0.000 0.000
-2.787 4.827 0.000
0.000 0.000 8.520
Y B Rh
2 6 9
Direct
0.000 0.000 0.206 Y
0.000 0.000 0.794 Y
0.333 0.667 0.167 B
0.333 0.667 0.500 B
0.333 0.667 0.833 B
0.667 0.333 0.167 B
0.667 0.333 0.500 B
0.667 0.333 0.833 B
0.000 0.500 0.000 Rh
0.000 0.500 0.336 Rh
0.000 0.500 0.664 Rh
0.500 0.000 0.000 Rh
0.500 0.000 0.336 Rh
0.500 0.000 0.664 Rh
0.500 0.500 0.000 Rh
0.500 0.500 0.336 Rh
0.500 0.500 0.664 Rh
```


2.
This record from Materials Project describes a relaxed structure of SnSe. The functional is r2SCAN.

## Properties
- SG: Cmcm, No. 63
- Formation energy from the elements: -0.429 eV per atom
- Calculated volume: 109.6 Å³ per cell
- Magnetic moment: 0.00 Bohr magnetons per cell

Geometry as POSCAR:
```
SnSe
1.0
2.135 -6.024 0.000
2.135 6.024 0.000
0.000 0.000 4.260
Sn Se
2 2
Direct
0.129 0.871 0.750 Sn
0.871 0.129 0.250 Sn
0.353 0.647 0.750 Se
0.647 0.353 0.250 Se
```


3.
This record from Materials Project describes a relaxed structure of TmAgTe2. The functional is r2SCAN.

## Properties
- SG: P-3m1, No. 164
- Formation energy from the elements: -1.043 eV per atom
- Calculated volume: 113.1 Å³ per cell
- Magnetic moment: 0.00 Bohr magnetons per cell

Geometry as POSCAR:
```
TmAgTe2
1.0
4.320 0.000 0.000
-2.160 3.741 0.000
0.000 0.000 6.999
Tm Ag Te
1 1 2
Direct
0.000 0.000 0.000 Tm
0.000 0.000 0.500 Ag
0.333 0.667 0.251 Te
0.667 0.333 0.749 Te
```


4.
This record from Materials Project describes a relaxed structure of Ce3In2Ru2. The functional is r2SCAN.

## Properties
- SG: Pnma, No. 62
- Formation energy from the elements: -0.602 eV per atom
- Calculated volume: 667.0 Å³ per cell
- Magnetic moment: 4.20 Bohr magnetons per cell

Geometry as POSCAR:
```
Ce3In2Ru2
1.0
17.329 0.000 0.000
0.000 4.984 0.000
0.000 0.000 7.723
Ce In Ru
12 8 8
Direct
0.076 0.250 0.010 Ce
0.139 0.250 0.463 Ce
0.172 0.750 0.773 Ce
0.328 0.250 0.273 Ce
0.361 0.750 0.963 Ce
0.424 0.750 0.510 Ce
0.576 0.250 0.490 Ce
0.639 0.250 0.037 Ce
0.672 0.750 0.727 Ce
0.828 0.250 0.227 Ce
0.861 0.750 0.537 Ce
0.924 0.750 0.990 Ce
0.029 0.750 0.341 In
0.200 0.750 0.212 In
0.300 0.250 0.712 In
0.471 0.250 0.841 In
0.529 0.750 0.159 In
0.700 0.750 0.288 In
0.800 0.250 0.788 In
0.971 0.250 0.659 In
0.045 0.750 0.724 Ru
0.206 0.250 0.025 Ru
0.294 0.750 0.525 Ru
0.455 0.250 0.224 Ru
0.545 0.750 0.776 Ru
0.706 0.250 0.475 Ru
0.794 0.750 0.975 Ru
0.955 0.250 0.276 Ru
```


5.
This record from Materials Project describes a relaxed structure of Sm6Ni20As13. The functional is r2SCAN.

## Properties
- SG: P-6, No. 174
- Formation energy from the elements: -0.728 eV per atom
- Calculated volume: 580.1 Å³ per cell
- Magnetic moment: 0.00 Bohr magnetons per cell

Geometry as POSCAR:
```
Sm6Ni20As13
1.0
13.070 0.000 0.000
-6.535 11.319 0.000
0.000 0.000 3.921
Sm Ni As
6 20 13
Direct
0.054 0.854 0.000 Sm
0.146 0.200 0.000 Sm
0.520 0.136 0.500 Sm
0.616 0.480 0.500 Sm
0.800 0.946 0.000 Sm
0.864 0.384 0.500 Sm
0.000 0.000 0.500 Ni
0.022 0.596 0.000 Ni
0.089 0.346 0.500 Ni
0.136 0.557 0.500 Ni
0.254 0.731 0.000 Ni
0.257 0.911 0.500 Ni
0.269 0.523 0.000 Ni
0.310 0.079 0.000 Ni
0.355 0.252 0.500 Ni
0.404 0.426 0.000 Ni
0.421 0.864 0.500 Ni
0.443 0.579 0.500 Ni
0.477 0.746 0.000 Ni
0.574 0.978 0.000 Ni
0.654 0.743 0.500 Ni
0.667 0.333 0.000 Ni
0.748 0.104 0.500 Ni
0.769 0.690 0.000 Ni
0.896 0.645 0.500 Ni
0.921 0.231 0.000 Ni
0.059 0.434 0.000 As
0.101 0.713 0.500 As
0.197 0.054 0.500 As
0.287 0.388 0.500 As
0.333 0.667 0.500 As
0.375 0.941 0.000 As
0.468 0.282 0.000 As
0.566 0.625 0.000 As
0.612 0.899 0.500 As
0.718 0.187 0.000 As
0.813 0.532 0.000 As
0.857 0.803 0.500 As
0.946 0.143 0.500 As
```


6.
This record from Materials Project describes a relaxed structure of BaPd. The functional is r2SCAN.

## Properties
- SG: P6_3/mmc, No. 194
- Formation energy from the elements: -0.517 eV per atom
- Calculated volume: 126.8 Å³ per cell
- Magnetic moment: 0.00 Bohr magnetons per cell

Geometry as POSCAR:
```
BaPd
1.0
5.156 0.000 0.000
-2.578 4.465 0.000
0.000 0.000 5.508
Ba Pd
2 2
Direct
0.333 0.667 0.250 Ba
0.667 0.333 0.750 Ba
0.000 0.000 0.000 Pd
0.000 0.000 0.500 Pd
```


Please write out number 1 again, unchanged.
This record from Materials Project describes a relaxed structure of Y2B6Rh9. The functional is r2SCAN.

## Properties
- SG: P6/mmm, No. 191
- Formation energy from the elements: -0.700 eV per atom
- Calculated volume: 229.2 Å³ per cell
- Magnetic moment: 0.00 Bohr magnetons per cell

Geometry as POSCAR:
```
Y2B6Rh9
1.0
5.574 0.000 0.000
-2.787 4.827 0.000
0.000 0.000 8.520
Y B Rh
2 6 9
Direct
0.000 0.000 0.206 Y
0.000 0.000 0.794 Y
0.333 0.667 0.167 B
0.333 0.667 0.500 B
0.333 0.667 0.833 B
0.667 0.333 0.167 B
0.667 0.333 0.500 B
0.667 0.333 0.833 B
0.000 0.500 0.000 Rh
0.000 0.500 0.336 Rh
0.000 0.500 0.664 Rh
0.500 0.000 0.000 Rh
0.500 0.000 0.336 Rh
0.500 0.000 0.664 Rh
0.500 0.500 0.000 Rh
0.500 0.500 0.336 Rh
0.500 0.500 0.664 Rh
```


> Number 4 is which compound?

Ce3In2Ru2


> Which of these has the highest magnetic moment?

Ce3In2Ru2


> What is the formula in the fifth record?

Sm6Ni20As13